# Sb5O7F (PBE, relaxed)
data_Sb5O7F
_symmetry_space_group_name_H-M 'P -1'
_symmetry_Int_Tables_number 2
_symmetry_space_group_name_Hall '-P 1'
_cell_length_a 4.158
_cell_length_b 10.105
_cell_length_c 13.092
_cell_angle_alpha 72.23
_cell_angle_beta 81.10
_cell_angle_gamma 78.27
loop_
_atom_site_label
_atom_site_type_symbol
_atom_site_fract_x
_atom_site_fract_y
_atom_site_fract_z
_atom_site_occupancy
Sb1 Sb 0.037 0.264 0.160 1
Sb2 Sb 0.097 0.940 0.372 1
Sb3 Sb 0.267 0.098 0.856 1
Sb4 Sb 0.274 0.337 0.611 1
Sb5 Sb 0.392 0.666 0.059 1
O1 O 0.103 0.289 0.999 1
O2 O 0.117 0.051 0.212 1
O3 O 0.199 0.737 0.372 1
O4 O 0.208 0.303 0.779 1
O5 O 0.285 0.854 0.086 1
O6 O 0.356 0.104 0.675 1
O7 O 0.439 0.735 0.891 1
F1 F 0.376 0.252 0.477 1
# **Energy above the lowest structure with this stoichiometry**: 0.0273 eV/atom
# **Total energy**: -5.77 eV/atom
# **Energy of formation**: -1.775 eV per atom



# Sb5O7F (PBE, relaxed)
data_Sb5O7F
_symmetry_space_group_name_H-M 'P 1 21/c 1'
_symmetry_Int_Tables_number 14
_symmetry_space_group_name_Hall '-P 2ybc'
_cell_length_a 6.790
_cell_length_b 12.928
_cell_length_c 13.590
_cell_angle_alpha 90.00
_cell_angle_beta 118.20
_cell_angle_gamma 90.00
loop_
_atom_site_label
_atom_site_type_symbol
_atom_site_fract_x
_atom_site_fract_y
_atom_site_fract_z
_atom_site_occupancy
Sb1 Sb 0.033 0.235 0.435 1
Sb2 Sb 0.326 0.233 0.240 1
Sb3 Sb 0.329 0.551 0.578 1
Sb4 Sb 0.362 0.743 0.417 1
Sb5 Sb 0.367 0.549 0.101 1
O1 O 0.048 0.613 0.008 1
O2 O 0.111 0.670 0.500 1
O3 O 0.330 0.246 0.584 1
O4 O 0.394 0.650 0.224 1
O5 O 0.478 0.606 0.490 1
O6 O 0.482 0.129 0.784 1
O7 O 0.494 0.174 0.442 1
F1 F 0.276 0.035 0.278 1
# **Energy above the lowest structure with this stoichiometry**: 0.0000 eV/atom
# **Total energy**: -5.80 eV/atom
# **Energy of formation**: -1.803 eV per atom



# Sb6O5F8 (PBE, relaxed)
data_Sb6O5F8
_symmetry_space_group_name_H-M 'P 1'
_symmetry_Int_Tables_number 1
_symmetry_space_group_name_Hall 'P 1'
_cell_length_a 4.246
_cell_length_b 6.256
_cell_length_c 14.206
_cell_angle_alpha 93.78
_cell_angle_beta 97.98
_cell_angle_gamma 90.80
loop_
_atom_site_label
_atom_site_type_symbol
_atom_site_fract_x
_atom_site_fract_y
_atom_site_fract_z
_atom_site_occupancy
Sb1 Sb 0.000 0.000 0.000 1
Sb2 Sb 0.010 0.404 0.444 1
Sb3 Sb 0.324 0.985 0.295 1
Sb4 Sb 0.383 0.514 0.784 1
Sb5 Sb 0.570 0.338 0.126 1
Sb6 Sb 0.678 0.074 0.606 1
O1 O 0.060 0.241 0.104 1
O2 O 0.318 0.169 0.414 1
O3 O 0.522 0.080 0.030 1
O4 O 0.628 0.184 0.246 1
O5 O 0.972 0.295 0.569 1
F1 F 0.042 0.777 0.092 1
F2 F 0.392 0.573 0.499 1
F3 F 0.398 0.803 0.746 1
F4 F 0.457 0.607 0.919 1
F5 F 0.700 0.831 0.353 1
F6 F 0.911 0.561 0.802 1
F7 F 0.916 0.126 0.736 1
F8 F 0.947 0.840 0.573 1
# **Energy above the lowest structure with this stoichiometry**: 0.0000 eV/atom
# **Total energy**: -5.27 eV/atom
# **Energy of formation**: -2.238 eV per atom



# SbOF (PBE, relaxed)
data_SbOF
_symmetry_space_group_name_H-M 'P n a 21'
_symmetry_Int_Tables_number 33
_symmetry_space_group_name_Hall 'P 2c -2n'
_cell_length_a 7.084
_cell_length_b 8.388
_cell_length_c 4.077
_cell_angle_alpha 90.00
_cell_angle_beta 90.00
_cell_angle_gamma 90.00
loop_
_atom_site_label
_atom_site_type_symbol
_atom_site_fract_x
_atom_site_fract_y
_atom_site_fract_z
_atom_site_occupancy
Sb1 Sb 0.132 0.119 0.000 1
O1 O 0.126 0.961 0.369 1
F1 F 0.003 0.279 0.285 1
# **Total energy**: -5.41 eV/atom
# **Largest piezoelectric modulus**: 1.19 C/m2
# **Energy of formation**: -2.129 eV per atom



# Sb6O5F8 (PBE, relaxed)
data_Sb6O5F8
_symmetry_space_group_name_H-M 'P 1 21/c 1'
_symmetry_Int_Tables_number 14
_symmetry_space_group_name_Hall '-P 2ybc'
_cell_length_a 6.343
_cell_length_b 5.893
_cell_length_c 34.432
_cell_angle_alpha 90.00
_cell_angle_beta 91.99
_cell_angle_gamma 90.00
loop_
_atom_site_label
_atom_site_type_symbol
_atom_site_fract_x
_atom_site_fract_y
_atom_site_fract_z
_atom_site_occupancy
Sb1 Sb 0.179 0.186 0.083 1
Sb2 Sb 0.191 0.645 0.667 1
Sb3 Sb 0.197 0.692 0.839 1
Sb4 Sb 0.215 0.744 0.488 1
Sb5 Sb 0.222 0.171 0.254 1
Sb6 Sb 0.242 0.164 0.416 1
O1 O 0.001 0.066 0.130 1
O2 O 0.009 0.527 0.458 1
O3 O 0.030 0.504 0.711 1
O4 O 0.040 0.035 0.370 1
O5 O 0.063 0.539 0.949 1
F1 F 0.001 0.502 0.788 1
F2 F 0.313 0.628 0.596 1
F3 F 0.354 0.152 0.314 1
F4 F 0.385 0.131 0.171 1
F5 F 0.389 0.621 0.752 1
F6 F 0.398 0.627 0.892 1
F7 F 0.450 0.054 0.462 1
F8 F 0.450 0.591 0.461 1
# **Energy above the lowest structure with this stoichiometry**: 0.0251 eV/atom
# **Total energy**: -5.25 eV/atom
# **Energy of formation**: -2.213 eV per atom



# SbOF (PBE, relaxed)
data_SbOF
_symmetry_space_group_name_H-M 'P n m a'
_symmetry_Int_Tables_number 62
_symmetry_space_group_name_Hall '-P 2ac 2n'
_cell_length_a 12.577
_cell_length_b 3.573
_cell_length_c 4.349
_cell_angle_alpha 90.00
_cell_angle_beta 90.00
_cell_angle_gamma 90.00
loop_
_atom_site_label
_atom_site_type_symbol
_atom_site_fract_x
_atom_site_fract_y
_atom_site_fract_z
_atom_site_occupancy
Sb1 Sb 0.152 0.250 0.170 1
O1 O 0.248 0.750 0.031 1
F1 F 0.089 0.750 0.431 1
# **Total energy**: -5.40 eV/atom
# **Energy of formation**: -2.117 eV per atom